No. 1
Below is Rb2Th7Se15 after structural relaxation, with properties calculated at the GGA-PBE level.

POSCAR file:
```
Rb2Th7Se15
1.0
-1.953 5.400 5.514
-12.227 4.243 -8.485
-12.522 -14.964 10.220
Rb Se Th
8 60 28
direct
0.547 0.392 0.559
0.552 0.045 0.232
0.052 0.955 0.268
0.953 0.392 0.059
0.948 0.045 0.732
0.453 0.608 0.441
0.047 0.608 0.941
0.448 0.955 0.768
0.446 0.599 0.597
0.125 0.411 0.530
0.953 0.737 0.239
0.837 0.047 0.953
0.323 0.200 0.512
0.795 0.603 0.818
0.625 0.589 0.970
0.709 0.229 0.657
0.308 0.068 0.357
0.291 0.771 0.343
0.823 0.800 0.988
0.802 0.869 0.833
0.168 0.857 0.674
0.808 0.932 0.143
0.946 0.401 0.903
0.791 0.229 0.157
0.163 0.953 0.047
0.832 0.143 0.326
0.663 0.387 0.785
0.837 0.387 0.285
0.165 0.527 0.342
0.335 0.527 0.842
0.375 0.411 0.030
0.663 0.047 0.453
0.677 0.800 0.488
0.962 0.077 0.571
0.705 0.603 0.318
0.192 0.068 0.857
0.666 0.716 0.118
0.205 0.397 0.182
0.814 0.260 0.489
0.665 0.473 0.158
0.835 0.473 0.658
0.334 0.284 0.882
0.314 0.740 0.011
0.209 0.771 0.843
0.668 0.143 0.826
0.875 0.589 0.470
0.054 0.599 0.097
0.163 0.613 0.715
0.186 0.740 0.511
0.295 0.397 0.682
0.038 0.923 0.429
0.547 0.737 0.739
0.686 0.260 0.989
0.538 0.077 0.071
0.337 0.953 0.547
0.337 0.613 0.215
0.462 0.923 0.929
0.047 0.263 0.761
0.332 0.857 0.174
0.698 0.869 0.333
0.198 0.131 0.167
0.177 0.200 0.012
0.692 0.932 0.643
0.302 0.131 0.667
0.834 0.716 0.618
0.166 0.284 0.382
0.554 0.401 0.403
0.453 0.263 0.261
0.426 0.579 0.086
0.054 0.259 0.613
0.570 0.749 0.244
0.946 0.741 0.387
0.979 0.546 0.226
0.554 0.741 0.887
0.521 0.546 0.726
0.023 0.119 0.439
0.581 0.095 0.577
0.026 0.788 0.105
0.930 0.749 0.744
0.419 0.905 0.423
0.926 0.421 0.414
0.446 0.259 0.113
0.477 0.119 0.939
0.070 0.251 0.256
0.081 0.905 0.923
0.974 0.212 0.895
0.474 0.788 0.605
0.021 0.454 0.774
0.526 0.212 0.395
0.523 0.881 0.061
0.977 0.881 0.561
0.574 0.421 0.914
0.479 0.454 0.274
0.919 0.095 0.077
0.074 0.579 0.586
0.430 0.251 0.756
```

Results
formation energy	-47.98	eV/f.u.
volume	2713.47	Å³/cell
total magnetic moment	0.044	μB/cell

No. 2
Below is Cd2PO4F after structural relaxation, with properties calculated at the GGA-PBE level.

POSCAR file:
```
Cd2PO4F
1.0
3.406 7.083 0.000
-3.406 7.083 0.000
0.000 5.590 9.163
O Cd F P
16 8 4 4
direct
0.350 0.074 0.818
0.378 0.443 0.145
0.361 0.904 0.152
0.229 0.389 0.912
0.622 0.557 0.855
0.611 0.771 0.588
0.389 0.229 0.412
0.639 0.096 0.848
0.096 0.639 0.348
0.926 0.650 0.682
0.904 0.361 0.652
0.557 0.622 0.355
0.443 0.378 0.645
0.650 0.926 0.182
0.074 0.350 0.318
0.771 0.611 0.088
0.209 0.686 0.486
0.742 0.941 0.347
0.791 0.314 0.514
0.059 0.258 0.153
0.941 0.742 0.847
0.258 0.059 0.653
0.686 0.209 0.986
0.314 0.791 0.014
0.929 0.098 0.109
0.902 0.071 0.391
0.098 0.929 0.609
0.071 0.902 0.891
0.765 0.587 0.695
0.413 0.235 0.805
0.235 0.413 0.305
0.587 0.765 0.195
```

Results
formation energy	-18.63	eV/f.u.
volume	442.11	Å³/cell
total magnetic moment	0.007	μB/cell

No. 3
Below is NaNbO3 after structural relaxation, with properties calculated at the GGA-PBE level.

POSCAR file:
```
NaNbO3
1.0
-1.828 -4.804 -2.154
5.206 -1.307 -1.502
0.569 -1.806 3.544
O Nb Na
6 2 2
direct
0.500 0.500 0.500
0.301 0.801 0.000
0.000 0.000 0.500
0.801 0.699 0.000
0.699 0.199 0.000
0.199 0.301 0.000
0.000 0.000 0.000
0.500 0.500 0.000
0.000 0.500 0.500
0.500 0.000 0.500
```

Results
formation energy	-14.09	eV/f.u.
volume	124.81	Å³/cell
total magnetic moment	0.000	μB/cell

No. 4
Below is BaMgC2O4 after structural relaxation, with properties calculated at the GGA-PBE level.

POSCAR file:
```
BaMgC2O4
1.0
2.632 3.624 0.000
-2.632 3.624 0.000
0.000 2.330 5.977
C O Ba Mg
2 4 1 1
direct
0.733 0.733 0.180
0.267 0.267 0.820
0.024 0.605 0.220
0.395 0.976 0.780
0.605 0.024 0.220
0.976 0.395 0.780
0.000 0.000 0.500
0.500 0.500 0.000
```

Results
formation energy	-15.47	eV/f.u.
volume	114.04	Å³/cell
total magnetic moment	0.000	μB/cell

No. 5
Below is Rh after structural relaxation, with properties calculated at the GGA-PBE level.

POSCAR file:
```
Rh
1.0
-1.543 1.543 1.543
1.543 -1.543 1.543
1.543 1.543 -1.543
Rh
1
direct
0.000 0.000 0.000
```

Results
formation energy	0.35	eV/f.u.
volume	14.71	Å³/cell
ΔE to the lowest computed polymorph	349.3	meV/atom
total magnetic moment	0.368	μB/cell

No. 6
Below is CaMgPb after structural relaxation, with properties calculated at the GGA-PBE level.

POSCAR file:
```
CaMgPb
1.0
4.767 0.000 0.000
0.000 7.968 0.000
0.000 0.000 8.945
Ca Pb Mg
4 4 4
direct
0.750 0.981 0.184
0.250 0.019 0.816
0.250 0.519 0.684
0.750 0.481 0.316
0.750 0.737 0.883
0.250 0.763 0.383
0.750 0.237 0.617
0.250 0.263 0.117
0.250 0.144 0.438
0.750 0.856 0.562
0.750 0.356 0.938
0.250 0.644 0.062
```

Results
formation energy	-1.30	eV/f.u.
volume	339.79	Å³/cell

No. 7
Below is Zn2SiH2O5 after structural relaxation, with properties calculated at the GGA-PBE level.

POSCAR file:
```
Zn2SiH2O5
1.0
0.000 0.000 -5.169
-4.269 5.437 -2.585
4.269 5.437 2.584
H Zn O Si
4 4 10 2
direct
0.951 0.409 0.587
0.441 0.374 0.626
0.189 0.626 0.374
0.773 0.587 0.409
0.201 0.634 0.041
0.200 0.960 0.366
0.794 0.041 0.634
0.794 0.366 0.960
0.662 0.303 0.698
0.411 0.000 0.000
0.805 0.833 0.833
0.522 0.636 0.954
0.523 0.045 0.364
0.266 0.698 0.303
0.805 0.166 0.166
0.204 0.364 0.045
0.203 0.954 0.636
0.977 0.481 0.481
0.492 0.854 0.854
0.492 0.146 0.146
```

Results
formation energy	-20.79	eV/f.u.
volume	239.98	Å³/cell
ΔE to the lowest computed polymorph	1.1	meV/atom
total magnetic moment	0.001	μB/cell

No. 8
Below is BaMg6BiO8 after structural relaxation, with properties calculated at the GGA-PBE level.

POSCAR file:
```
BaMg6BiO8
1.0
9.687 0.000 0.000
0.000 4.730 0.000
0.000 0.000 4.730
Mg Bi O Ba
6 1 8 1
direct
0.500 0.500 0.500
0.707 0.500 0.000
0.293 0.000 0.500
0.500 0.000 0.000
0.293 0.500 0.000
0.707 0.000 0.500
0.000 0.500 0.500
0.291 0.500 0.500
0.712 0.000 0.000
0.000 0.500 0.000
0.000 0.000 0.500
0.500 0.000 0.500
0.288 0.000 0.000
0.500 0.500 0.000
0.709 0.500 0.500
0.000 0.000 0.000
```

Results
formation energy	-37.46	eV/f.u.
volume	216.71	Å³/cell
ΔE to the lowest computed polymorph	0.0	meV/atom
total magnetic moment	0.000	μB/cell

> What is the formation energy in the eighth record?

-37.46 eV/f.u.

> Which of these has the highest volume?

Rb2Th7Se15

> The highest formation energy belongs to which entry?

Rh

Copy entry 8 word for word.
Below is BaMg6BiO8 after structural relaxation, with properties calculated at the GGA-PBE level.

POSCAR file:
```
BaMg6BiO8
1.0
9.687 0.000 0.000
0.000 4.730 0.000
0.000 0.000 4.730
Mg Bi O Ba
6 1 8 1
direct
0.500 0.500 0.500
0.707 0.500 0.000
0.293 0.000 0.500
0.500 0.000 0.000
0.293 0.500 0.000
0.707 0.000 0.500
0.000 0.500 0.500
0.291 0.500 0.500
0.712 0.000 0.000
0.000 0.500 0.000
0.000 0.000 0.500
0.500 0.000 0.500
0.288 0.000 0.000
0.500 0.500 0.000
0.709 0.500 0.500
0.000 0.000 0.000
```

Results
formation energy	-37.46	eV/f.u.
volume	216.71	Å³/cell
ΔE to the lowest computed polymorph	0.0	meV/atom
total magnetic moment	0.000	μB/cell